(1)
The following is a DFT calculation (PBE) of an optimized crystal structure of Gd2S3O20.

Output
formation enthalpy at 0 K = -33.17 kcal/mol of atoms
total magnetic moment = 0.880 μB/atom
corrected total energy (MP2020 scheme) = -7.019 eV per atom
crystal system = monoclinic
DFT total energy = -0.25323 hartree per atom

```
data_Gd2S3O20
_cell_length_a 18.482
_cell_length_b 6.111
_cell_length_c 18.307
_cell_angle_alpha 90.00
_cell_angle_beta 111.35
_cell_angle_gamma 90.00
_symmetry_space_group_name_H-M 'C 1 2/c 1'
_symmetry_Int_Tables_number 15
loop_
_symmetry_equiv_pos_as_xyz
'x,y,z'
'-x,-y,-z'
'-x,y,-z+1/2'
'x,-y,z+1/2'
'x+1/2,y+1/2,z'
'-x+1/2,-y+1/2,-z'
'-x+1/2,y+1/2,-z+1/2'
'x+1/2,-y+1/2,z+1/2'
loop_
_atom_site_label
_atom_site_type_symbol
_atom_site_fract_x
_atom_site_fract_y
_atom_site_fract_z
_atom_site_occupancy
Gd1 Gd 0.157 0.000 0.385 1
S1 S 0.000 0.296 0.250 1
S2 S 0.229 0.003 0.097 1
O1 O 0.008 0.422 0.186 1
O2 O 0.010 0.100 0.074 1
O3 O 0.015 0.062 0.903 1
O4 O 0.069 0.136 0.283 1
O5 O 0.131 0.500 0.099 1
O6 O 0.178 0.047 0.013 1
O7 O 0.179 0.499 0.666 1
O8 O 0.186 0.014 0.648 1
O9 O 0.211 0.317 0.879 1
O10 O 0.227 0.296 0.406 1
```

=====

(2)
The following is a DFT calculation (PBE) of an optimized crystal structure of Gd10S14O.

Output
formation enthalpy at 0 K = -57.17 kcal/mol of atoms
total magnetic moment = 2.800 μB/atom
corrected total energy (MP2020 scheme) = -10.624 eV per atom
crystal system = tetragonal
DFT total energy = -0.37907 hartree per atom

```
data_Gd10S14O
_cell_length_a 14.769
_cell_length_b 14.769
_cell_length_c 19.608
_cell_angle_alpha 90.00
_cell_angle_beta 90.00
_cell_angle_gamma 90.00
_symmetry_space_group_name_H-M 'I 41/a c d'
_symmetry_Int_Tables_number 142
loop_
_symmetry_equiv_pos_as_xyz
'x,y,z'
'-x,-y,-z'
'-y+1/4,x+3/4,z+1/4'
'y+1/4,-x+3/4,-z+1/4'
'-x+1/2,-y,z+1/2'
'x+1/2,y,-z+1/2'
'y+1/4,-x+1/4,z+3/4'
'-y+1/4,x+1/4,-z+3/4'
'x,-y,-z+1/2'
'-x,y,z+1/2'
'-y+1/4,-x+1/4,-z+1/4'
'y+1/4,x+1/4,z+1/4'
'-x+1/2,y,-z'
'x+1/2,-y,z'
'y+1/4,x+3/4,-z+3/4'
'-y+1/4,-x+3/4,z+3/4'
'x+1/2,y+1/2,z+1/2'
'-x+1/2,-y+1/2,-z+1/2'
'-y+3/4,x+1/4,z+3/4'
'y+3/4,-x+1/4,-z+3/4'
'-x,-y+1/2,z'
'x,y+1/2,-z'
'y+3/4,-x+3/4,z+1/4'
'-y+3/4,x+3/4,-z+1/4'
'x+1/2,-y+1/2,-z'
'-x+1/2,y+1/2,z'
'-y+3/4,-x+3/4,-z+3/4'
'y+3/4,x+3/4,z+3/4'
'-x,y+1/2,-z+1/2'
'x,-y+1/2,z+1/2'
'y+3/4,x+1/4,-z+1/4'
'-y+3/4,-x+1/4,z+1/4'
loop_
_atom_site_label
_atom_site_type_symbol
_atom_site_fract_x
_atom_site_fract_y
_atom_site_fract_z
_atom_site_occupancy
Gd1 Gd 0.006 0.118 0.308 1
Gd2 Gd 0.128 0.028 0.547 1
Gd3 Gd 0.135 0.115 0.125 1
S1 S 0.025 0.118 0.004 1
S2 S 0.038 0.071 0.672 1
S3 S 0.149 0.000 0.250 1
S4 S 0.156 0.073 0.407 1
O1 O 0.000 0.250 0.375 1
```

=====

(3)
The following is a DFT calculation (PBE) of an optimized crystal structure of Gd2S3O12.

Output
formation enthalpy at 0 K = -38.88 kcal/mol of atoms
total magnetic moment = 0.588 μB/atom
energy above the most stable polymorph in this dataset = 0.000 eV/f.u.
corrected total energy (MP2020 scheme) = -7.565 eV per atom
crystal system = triclinic
DFT total energy = -0.27382 hartree per atom

```
data_Gd2S3O12
_cell_length_a 6.517
_cell_length_b 6.982
_cell_length_c 7.088
_cell_angle_alpha 111.08
_cell_angle_beta 105.91
_cell_angle_gamma 90.56
_symmetry_space_group_name_H-M 'P 1'
_symmetry_Int_Tables_number 1
loop_
_symmetry_equiv_pos_as_xyz
'x,y,z'
loop_
_atom_site_label
_atom_site_type_symbol
_atom_site_fract_x
_atom_site_fract_y
_atom_site_fract_z
_atom_site_occupancy
Gd1 Gd 0.000 0.000 0.000 1
Gd2 Gd 0.314 0.553 0.134 1
S1 S 0.272 0.315 0.529 1
S2 S 0.499 0.039 0.096 1
S3 S 0.790 0.483 0.958 1
O1 O 0.093 0.158 0.356 1
O2 O 0.209 0.403 0.725 1
O3 O 0.330 0.843 0.026 1
O4 O 0.332 0.177 0.020 1
O5 O 0.342 0.473 0.455 1
O6 O 0.417 0.844 0.405 1
O7 O 0.632 0.979 0.942 1
O8 O 0.665 0.539 0.117 1
O9 O 0.833 0.923 0.567 1
O10 O 0.919 0.763 0.567 1
O11 O 0.956 0.340 0.024 1
O12 O 0.956 0.679 0.025 1
```

=====

(4)
The following is a DFT calculation (PBE) of an optimized crystal structure of Gd2S3O12.

Output
formation enthalpy at 0 K = -37.67 kcal/mol of atoms
total magnetic moment = 0.824 μB/atom
energy above the most stable polymorph in this dataset = 0.896 eV/f.u.
crystal system = triclinic
DFT total energy = -0.27606 hartree per atom

```
data_Gd2S3O12
_cell_length_a 6.388
_cell_length_b 6.920
_cell_length_c 7.654
_cell_angle_alpha 63.48
_cell_angle_beta 69.03
_cell_angle_gamma 89.86
_symmetry_space_group_name_H-M 'P 1'
_symmetry_Int_Tables_number 1
loop_
_symmetry_equiv_pos_as_xyz
'x,y,z'
loop_
_atom_site_label
_atom_site_type_symbol
_atom_site_fract_x
_atom_site_fract_y
_atom_site_fract_z
_atom_site_occupancy
Gd1 Gd 0.000 0.000 0.000 1
Gd2 Gd 0.166 0.394 0.235 1
S1 S 0.379 0.904 0.199 1
S2 S 0.655 0.769 0.611 1
S3 S 0.785 0.475 0.037 1
O1 O 0.001 0.335 0.566 1
O2 O 0.189 0.294 0.641 1
O3 O 0.235 0.075 0.677 1
O4 O 0.254 0.106 0.139 1
O5 O 0.259 0.769 0.129 1
O6 O 0.446 0.635 0.787 1
O7 O 0.538 0.409 0.193 1
O8 O 0.622 0.988 0.034 1
O9 O 0.720 0.744 0.422 1
O10 O 0.795 0.927 0.615 1
O11 O 0.894 0.269 0.120 1
O12 O 0.909 0.621 0.093 1
```

=====

(5)
The following is a DFT calculation (PBE) of an optimized crystal structure of Gd4Si2S3O7.

Output
formation enthalpy at 0 K = -74.79 kcal/mol of atoms
total magnetic moment = 1.750 μB/atom
corrected total energy (MP2020 scheme) = -10.381 eV per atom
crystal system = tetragonal
DFT total energy = -0.36698 hartree per atom

```
data_Gd4Si2S3O7
_cell_length_a 11.855
_cell_length_b 11.855
_cell_length_c 13.888
_cell_angle_alpha 90.00
_cell_angle_beta 90.00
_cell_angle_gamma 90.00
_symmetry_space_group_name_H-M 'I 41/a m d'
_symmetry_Int_Tables_number 141
loop_
_symmetry_equiv_pos_as_xyz
'x,y,z'
'-x,-y,-z'
'-y+1/4,x+3/4,z+1/4'
'y+1/4,-x+3/4,-z+1/4'
'-x+1/2,-y,z+1/2'
'x+1/2,y,-z+1/2'
'y+1/4,-x+1/4,z+3/4'
'-y+1/4,x+1/4,-z+3/4'
'x,-y,-z'
'-x,y,z'
'-y+1/4,-x+1/4,-z+3/4'
'y+1/4,x+1/4,z+3/4'
'-x+1/2,y,-z+1/2'
'x+1/2,-y,z+1/2'
'y+1/4,x+3/4,-z+1/4'
'-y+1/4,-x+3/4,z+1/4'
'x+1/2,y+1/2,z+1/2'
'-x+1/2,-y+1/2,-z+1/2'
'-y+3/4,x+1/4,z+3/4'
'y+3/4,-x+1/4,-z+3/4'
'-x,-y+1/2,z'
'x,y+1/2,-z'
'y+3/4,-x+3/4,z+1/4'
'-y+3/4,x+3/4,-z+1/4'
'x+1/2,-y+1/2,-z+1/2'
'-x+1/2,y+1/2,z+1/2'
'-y+3/4,-x+3/4,-z+1/4'
'y+3/4,x+3/4,z+1/4'
'-x,y+1/2,-z'
'x,-y+1/2,z'
'y+3/4,x+1/4,-z+3/4'
'-y+3/4,-x+1/4,z+3/4'
loop_
_atom_site_label
_atom_site_type_symbol
_atom_site_fract_x
_atom_site_fract_y
_atom_site_fract_z
_atom_site_occupancy
Gd1 Gd 0.000 0.014 0.341 1
Gd2 Gd 0.172 0.078 0.875 1
Si1 Si 0.000 0.126 0.095 1
S1 S 0.000 0.250 0.375 1
S2 S 0.000 0.250 0.875 1
S3 S 0.147 0.000 0.500 1
O1 O 0.000 0.020 0.173 1
O2 O 0.000 0.250 0.147 1
O3 O 0.122 0.110 0.041 1
```

=====

(6)
The following is a DFT calculation (PBE) of an optimized crystal structure of Gd2ZnTe2S2O14.

Output
formation enthalpy at 0 K = -54.41 kcal/mol of atoms
total magnetic moment = 0.667 μB/atom
corrected total energy (MP2020 scheme) = -7.752 eV per atom
crystal system = triclinic
DFT total energy = -0.26805 hartree per atom

```
data_Gd2ZnTe2S2O14
_cell_length_a 5.332
_cell_length_b 7.990
_cell_length_c 8.244
_cell_angle_alpha 63.86
_cell_angle_beta 73.38
_cell_angle_gamma 85.35
_symmetry_space_group_name_H-M 'P -1'
_symmetry_Int_Tables_number 2
loop_
_symmetry_equiv_pos_as_xyz
'x,y,z'
'-x,-y,-z'
loop_
_atom_site_label
_atom_site_type_symbol
_atom_site_fract_x
_atom_site_fract_y
_atom_site_fract_z
_atom_site_occupancy
Gd1 Gd 0.082 0.253 0.015 1
Zn1 Zn 0.000 0.000 0.500 1
Te1 Te 0.484 0.729 0.660 1
S1 S 0.238 0.753 0.253 1
O1 O 0.113 0.592 0.255 1
O2 O 0.129 0.769 0.431 1
O3 O 0.178 0.922 0.091 1
O4 O 0.250 0.924 0.665 1
O5 O 0.251 0.562 0.892 1
O6 O 0.278 0.193 0.249 1
O7 O 0.474 0.267 0.780 1
```

=====

(7)
The following is a DFT calculation (PBE) of an optimized crystal structure of Gd8Sb3O8.

Output
formation enthalpy at 0 K = -71.02 kcal/mol of atoms
total magnetic moment = 2.922 μB/atom
corrected total energy (MP2020 scheme) = -11.742 eV per atom
crystal system = monoclinic
DFT total energy = -0.42088 hartree per atom

```
data_Gd8Sb3O8
_cell_length_a 13.640
_cell_length_b 3.804
_cell_length_c 15.351
_cell_angle_alpha 90.00
_cell_angle_beta 107.31
_cell_angle_gamma 90.00
_symmetry_space_group_name_H-M 'C 1 2 1'
_symmetry_Int_Tables_number 5
loop_
_symmetry_equiv_pos_as_xyz
'x,y,z'
'-x,y,-z'
'x+1/2,y+1/2,z'
'-x+1/2,y+1/2,-z'
loop_
_atom_site_label
_atom_site_type_symbol
_atom_site_fract_x
_atom_site_fract_y
_atom_site_fract_z
_atom_site_occupancy
Gd1 Gd 0.044 0.000 0.330 1
Gd2 Gd 0.123 0.500 0.153 1
Gd3 Gd 0.143 0.000 0.930 1
Gd4 Gd 0.220 0.001 0.589 1
Sb1 Sb 0.000 0.544 0.500 1
Sb2 Sb 0.171 0.499 0.766 1
O1 O 0.030 0.000 0.132 1
O2 O 0.117 0.502 0.298 1
O3 O 0.166 0.500 0.015 1
O4 O 0.203 0.003 0.434 1
```

=====

(8)
The following is a DFT calculation (PBE) of an optimized crystal structure of Gd3SbO3.

Output
formation enthalpy at 0 K = -71.72 kcal/mol of atoms
corrected total energy (MP2020 scheme) = -11.853 eV per atom
crystal system = monoclinic
DFT total energy = -0.42477 hartree per atom

```
data_Gd3SbO3
_cell_length_a 13.379
_cell_length_b 3.930
_cell_length_c 11.961
_cell_angle_alpha 90.00
_cell_angle_beta 118.40
_cell_angle_gamma 90.00
_symmetry_space_group_name_H-M 'C 1 2/m 1'
_symmetry_Int_Tables_number 12
loop_
_symmetry_equiv_pos_as_xyz
'x,y,z'
'-x,-y,-z'
'-x,y,-z'
'x,-y,z'
'x+1/2,y+1/2,z'
'-x+1/2,-y+1/2,-z'
'-x+1/2,y+1/2,-z'
'x+1/2,-y+1/2,z'
loop_
_atom_site_label
_atom_site_type_symbol
_atom_site_fract_x
_atom_site_fract_y
_atom_site_fract_z
_atom_site_occupancy
Gd1 Gd 0.120 0.000 0.442 1
Gd2 Gd 0.128 0.000 0.900 1
Gd3 Gd 0.157 0.500 0.208 1
Sb1 Sb 0.119 0.500 0.680 1
O1 O 0.064 0.000 0.197 1
O2 O 0.164 0.500 0.015 1
O3 O 0.190 0.500 0.410 1
```

=====

Q: Which of these has the highest formation enthalpy at 0 K?
A: Gd2S3O20